Density functional theory data (PBE) for LiC12 after structural relaxation.

Cell: 4.299 4.299 14.711 Å, 90.00 90.00 60.03°
Sites, in units of the cell vectors:
Li 0.167 0.833 0.750
Li 0.833 0.167 0.250
C 0.166 0.167 0.622
C 0.166 0.167 0.878
C 0.166 0.834 0.122
C 0.166 0.834 0.378
C 0.167 0.166 0.122
C 0.167 0.166 0.378
C 0.167 0.500 0.622
C 0.167 0.500 0.878
C 0.500 0.167 0.122
C 0.500 0.167 0.378
C 0.500 0.500 0.122
C 0.500 0.500 0.378
C 0.500 0.500 0.622
C 0.500 0.500 0.878
C 0.500 0.833 0.622
C 0.500 0.833 0.878
C 0.833 0.500 0.122
C 0.833 0.500 0.378
C 0.833 0.834 0.622
C 0.833 0.834 0.878
C 0.834 0.166 0.622
C 0.834 0.166 0.878
C 0.834 0.833 0.122
C 0.834 0.833 0.378

Values from the calculation:
Space-group type   Cmcm (63)
Electronic total energy   -225.35 eV/cell